DFT (PBE) results for SmThB12 after structural relaxation.

Structure (POSCAR):
```
SmThB12
1.0
-0.975 -4.754 3.210
2.011 -0.292 5.452
-3.703 0.226 4.483
B Th Sm
12 1 1
direct
0.599 0.901 0.599 B
0.099 0.099 0.401 B
0.901 0.599 0.599 B
0.599 0.599 0.901 B
0.901 0.901 0.599 B
0.901 0.599 0.901 B
0.099 0.401 0.401 B
0.401 0.099 0.099 B
0.401 0.401 0.099 B
0.599 0.901 0.901 B
0.401 0.099 0.401 B
0.099 0.401 0.099 B
0.500 0.500 0.500 Th
0.000 0.000 0.000 Sm
```

Output
**Calculated formation energy**: -466 meV/atom
**Volume**: 9.95 Å³/atom